Entry 1:
Compound: TbCuSi
Source: the Materials Project database
Functional: GGA-PBE
Structure: optimized geometry

Cell: 4.0737 4.0737 3.9771 Å, 90.00 90.00 120.00°
Closest atoms and distances in Å follow each position.
Element x y z (fractional)
1 Tb 0.0000 0.0000 0.0000  6 Cu 3.08, 6 Si 3.08
2 Cu 0.3333 0.6667 0.5000  3 Si 2.35
3 Si 0.6667 0.3333 0.5000  3 Cu 2.35

Output
Spin magnetization (μB per cell): 0.0


Entry 2:
Compound: GdNi12B6
Source: the Materials Project database
Functional: GGA-PBE
Structure: optimized geometry

Cell: 6.0328 6.0328 10.9734 Å, 90.00 90.00 75.19°
Closest atoms and distances in Å follow each position.
Element x y z (fractional)
1 Gd 0.1658 0.8342 0.5000  6 B 2.99-3.29, 14 Ni 3.03-3.29
2 Gd 0.8342 0.1658 0.0000  6 B 2.99-3.29, 14 Ni 3.03-3.29
3 Ni 0.0043 0.6304 0.9395  4 B 2.02-2.10
4 Ni 0.1184 0.1454 0.7580  3 B 2.03-2.10
5 Ni 0.1454 0.1184 0.2580  3 B 2.03-2.10
6 Ni 0.1951 0.5434 0.7366  4 B 1.98-2.09
7 Ni 0.2125 0.5263 0.2786  3 B 2.05-2.13
8 Ni 0.2176 0.7824 0.1019  3 B 2.00-2.08
9 Ni 0.2713 0.3411 0.0706  4 B 2.02-2.09
10 Ni 0.3411 0.2713 0.5706  4 B 2.02-2.09
11 Ni 0.3696 0.9957 0.9395  4 B 2.02-2.10
12 Ni 0.4349 0.5651 0.9215  3 B 2.10-2.18
13 Ni 0.4566 0.8049 0.7366  4 B 1.98-2.09
14 Ni 0.4737 0.7875 0.2786  3 B 2.05-2.13
15 Ni 0.5263 0.2125 0.7786  3 B 2.05-2.13
16 Ni 0.5434 0.1951 0.2366  4 B 1.98-2.09
17 Ni 0.5651 0.4349 0.4215  3 B 2.10-2.18
18 Ni 0.6304 0.0043 0.4395  4 B 2.02-2.10
19 Ni 0.6589 0.7287 0.0706  4 B 2.02-2.09
20 Ni 0.7287 0.6589 0.5706  4 B 2.02-2.09
21 Ni 0.7824 0.2176 0.6019  3 B 2.00-2.08
22 Ni 0.7875 0.4737 0.7786  3 B 2.05-2.13
23 Ni 0.8049 0.4566 0.2366  4 B 1.98-2.09
24 Ni 0.8546 0.8816 0.7580  3 B 2.03-2.10
25 Ni 0.8816 0.8546 0.2580  3 B 2.03-2.10
26 Ni 0.9957 0.3696 0.4395  4 B 2.02-2.10
27 B 0.0115 0.4017 0.6251  7 Ni 1.98-2.13
28 B 0.1639 0.8361 0.8407  7 Ni 2.03-2.18
29 B 0.2437 0.3259 0.8878  7 Ni 2.02-2.10
30 B 0.3259 0.2437 0.3878  7 Ni 2.02-2.10
31 B 0.4017 0.0115 0.1251  7 Ni 1.98-2.13
32 B 0.4882 0.5118 0.1566  7 Ni 2.05-2.12
33 B 0.5118 0.4882 0.6566  7 Ni 2.05-2.12
34 B 0.5983 0.9885 0.6251  7 Ni 1.98-2.13
35 B 0.6741 0.7563 0.8878  7 Ni 2.02-2.10
36 B 0.7563 0.6741 0.3878  7 Ni 2.02-2.10
37 B 0.8361 0.1639 0.3407  7 Ni 2.03-2.18
38 B 0.9885 0.5983 0.1251  7 Ni 1.98-2.13

Output
Spin magnetization (μB per cell): 14.2
Excess energy over the best structure of this formula in the dataset (meV/atom): 0


Entry 3:
Compound: YNi3
Source: the Materials Project database
Functional: GGA-PBE
Structure: optimized geometry

Cell: 8.6165 8.6165 8.6165 Å, 33.51 33.51 33.51°
Closest atoms and distances in Å follow each position.
Element x y z (fractional)
1 Y 0.0000 0.0000 0.0000  18 Ni 2.87-3.18
2 Y 0.1387 0.1387 0.1387  12 Ni 2.85-3.10, 3 Y 3.18
3 Y 0.8613 0.8613 0.8613  12 Ni 2.85-3.10, 3 Y 3.18
4 Ni 0.0809 0.5821 0.5821  7 Ni 2.45-2.52
5 Ni 0.3332 0.3332 0.3332  6 Ni 2.45-2.46
6 Ni 0.4179 0.4179 0.9191  7 Ni 2.45-2.52
7 Ni 0.4179 0.9191 0.4179  7 Ni 2.45-2.52
8 Ni 0.5000 0.5000 0.5000  6 Ni 2.52
9 Ni 0.5821 0.0809 0.5821  7 Ni 2.45-2.52
10 Ni 0.5821 0.5821 0.0809  7 Ni 2.45-2.52
11 Ni 0.6668 0.6668 0.6668  6 Ni 2.45-2.46
12 Ni 0.9191 0.4179 0.4179  7 Ni 2.45-2.52


Entry 4:
Compound: NaErTl2
Source: the Materials Project database
Functional: GGA-PBE
Structure: optimized geometry

Cell: 5.3398 5.3398 5.3398 Å, 60.00 60.00 60.00°
Closest atoms and distances in Å follow each position.
Element x y z (fractional)
1 Na 0.0000 0.0000 0.0000  8 Tl 3.27
2 Er 0.5000 0.5000 0.5000  8 Tl 3.27
3 Tl 0.2500 0.2500 0.2500  4 Er 3.27, 4 Na 3.27
4 Tl 0.7500 0.7500 0.7500  4 Er 3.27, 4 Na 3.27


Number 1: formation energy from the elements -0.61 eV/atom. Number 2: formation energy from the elements -0.39 eV/atom. Number 3: formation energy from the elements -0.40 eV/atom. Number 4: formation energy from the elements -0.22 eV/atom.